Run i
DFT (PBE-GGA) results for a relaxed structure of K2ZnC4N4.

Lattice parameters (Å, degrees): 8.9787 8.9787 8.9787 60.00 60.00 60.00
Atoms (fractional coordinates):
Zn (0.5000, 0.5000, 0.5000)
Zn (0.7500, 0.7500, 0.7500)
N (0.9346, 0.3551, 0.3551)
N (0.3154, 0.8949, 0.8949)
N (0.3551, 0.9346, 0.3551)
N (0.3551, 0.3551, 0.9346)
N (0.3551, 0.3551, 0.3551)
N (0.8949, 0.3154, 0.8949)
N (0.8949, 0.8949, 0.3154)
N (0.8949, 0.8949, 0.8949)
K (0.6250, 0.1250, 0.1250)
K (0.1250, 0.1250, 0.6250)
K (0.1250, 0.1250, 0.1250)
K (0.1250, 0.6250, 0.1250)
C (0.4085, 0.4085, 0.7746)
C (0.4754, 0.8415, 0.8415)
C (0.7746, 0.4085, 0.4085)
C (0.4085, 0.4085, 0.4085)
C (0.8415, 0.4754, 0.8415)
C (0.8415, 0.8415, 0.8415)
C (0.4085, 0.7746, 0.4085)
C (0.8415, 0.8415, 0.4754)

## Properties
The space group is Fd-3m, No. 227.

---

Run ii
DFT (PBE-GGA) results for a relaxed structure of K2ZnC4N4.

Lattice parameters (Å, degrees): 15.3797 15.3797 15.3797 32.44 32.44 32.44
Atoms (fractional coordinates):
K (0.1676, 0.7500, 0.3324)
K (0.5000, 0.5000, 0.5000)
K (0.2500, 0.6676, 0.8324)
K (0.0000, 0.0000, 0.0000)
K (0.7500, 0.3324, 0.1676)
K (0.6676, 0.8324, 0.2500)
K (0.8324, 0.2500, 0.6676)
K (0.3324, 0.1676, 0.7500)
C (0.7261, 0.0471, 0.6233)
C (0.6233, 0.7261, 0.0471)
C (0.7739, 0.8767, 0.4529)
C (0.2261, 0.1233, 0.5471)
C (0.8767, 0.4529, 0.7739)
C (0.0471, 0.6233, 0.7261)
C (0.6390, 0.6390, 0.6390)
C (0.1390, 0.1390, 0.1390)
C (0.8610, 0.8610, 0.8610)
C (0.5471, 0.2261, 0.1233)
C (0.1233, 0.5471, 0.2261)
C (0.2739, 0.9529, 0.3767)
C (0.9529, 0.3767, 0.2739)
C (0.4529, 0.7739, 0.8767)
C (0.3610, 0.3610, 0.3610)
C (0.3767, 0.2739, 0.9529)
N (0.3165, 0.8297, 0.9844)
N (0.1835, 0.5156, 0.6703)
N (0.8297, 0.9844, 0.3165)
N (0.6122, 0.6122, 0.6122)
N (0.8165, 0.4844, 0.3297)
N (0.1122, 0.1122, 0.1122)
N (0.1703, 0.0156, 0.6835)
N (0.0156, 0.6835, 0.1703)
N (0.5156, 0.6703, 0.1835)
N (0.3297, 0.8165, 0.4844)
N (0.4844, 0.3297, 0.8165)
N (0.6835, 0.1703, 0.0156)
N (0.3878, 0.3878, 0.3878)
N (0.8878, 0.8878, 0.8878)
N (0.9844, 0.3165, 0.8297)
N (0.6703, 0.1835, 0.5156)
Zn (0.1851, 0.1851, 0.1851)
Zn (0.6851, 0.6851, 0.6851)
Zn (0.3149, 0.3149, 0.3149)
Zn (0.8149, 0.8149, 0.8149)

## Properties
The space group is R-3c, No. 167.

---

According to the calculations, the structures order from most to least stable as run i, run ii.

---

Run i
DFT (PBE-GGA) results for a relaxed structure of K4CO4.

Lattice parameters (Å, degrees): 5.6529 5.6529 6.4912 72.45 72.45 86.96
Atoms (fractional coordinates):
K (0.0266, 0.5645, 0.0976)
K (0.5645, 0.0266, 0.0976)
K (0.4273, 0.9313, 0.6256)
K (0.9313, 0.4273, 0.6256)
O (0.1245, 0.8249, 0.3255)
O (0.9159, 0.9159, 0.6674)
O (0.2055, 0.2055, 0.3605)
O (0.8249, 0.1245, 0.3255)
C (0.0194, 0.0194, 0.4131)

## Properties
The space group is Cm, No. 8.

---

Run ii
DFT (PBE-GGA) results for a relaxed structure of K4CO4.

Lattice parameters (Å, degrees): 5.8793 5.8793 5.7042 81.10 81.10 112.99
Atoms (fractional coordinates):
K (0.7988, 0.7988, 0.9582)
K (0.3300, 0.3300, 0.7503)
K (0.1262, 0.5942, 0.3158)
K (0.5942, 0.1262, 0.3158)
O (0.1480, 0.9101, 0.5812)
O (0.7675, 0.7675, 0.4459)
O (0.1295, 0.1295, 0.2079)
O (0.9101, 0.1480, 0.5812)
C (0.9886, 0.9886, 0.4547)

## Properties
The space group is Cm, No. 8.

---

Run iii
DFT (PBE-GGA) results for a relaxed structure of K4CO4.

Lattice parameters (Å, degrees): 5.6771 5.6771 6.0950 65.56 65.56 91.40
Atoms (fractional coordinates):
O (0.9051, 0.1926, 0.7742)
O (0.3539, 0.3539, 0.4220)
O (0.0551, 0.0551, 0.4312)
O (0.1926, 0.9051, 0.7742)
K (0.2976, 0.2976, 0.8850)
K (0.0213, 0.6139, 0.3218)
K (0.6996, 0.6996, 0.9126)
K (0.6139, 0.0213, 0.3218)
C (0.1255, 0.1255, 0.6000)

## Properties
The space group is Cm, No. 8.

---

Run iv
DFT (PBE-GGA) results for a relaxed structure of K4CO4.

Lattice parameters (Å, degrees): 5.4721 5.4721 5.4721 84.59 84.59 84.59
Atoms (fractional coordinates):
K (0.1619, 0.6094, 0.6094)
K (0.6094, 0.6094, 0.1619)
K (0.1843, 0.1843, 0.1843)
K (0.6094, 0.1619, 0.6094)
O (0.7872, 0.7872, 0.7872)
O (0.0788, 0.7557, 0.0788)
O (0.7557, 0.0788, 0.0788)
O (0.0788, 0.0788, 0.7557)
C (0.9261, 0.9261, 0.9261)

## Properties
The space group is R3m, No. 160.

---

According to the calculations, the structures order from most to least stable as run iii, run ii, run i, run iv.